TbCu4Ag after structural relaxation, computed with meta-GGA r2SCAN.

Structure (POSCAR):
```
TbCu4Ag
1.0
0.0000 3.5408 3.5408
3.5408 0.0000 3.5408
3.5408 3.5408 0.0000
Tb Cu Ag
1 4 1
direct
0.0000 0.0000 0.0000 Tb
0.3762 0.3762 0.3762 Cu
0.3762 0.3762 0.8715 Cu
0.3762 0.8715 0.3762 Cu
0.8715 0.3762 0.3762 Cu
0.7500 0.7500 0.7500 Ag
```

Summary:
Its crystal system is cubic. For the formation energy, the calculation gives -231 meV per atom.